No. 1
Computed, not measured: a geometry-optimized Na3CaNbSiP2O12 structure at the GGA-PBE level of DFT.

Computed properties:
Total magnetic moment ... 0.0000 μB/atom
Energy relative to the elements ... -2.83 eV/atom
Uncorrected energy ... -560.1 eV per cell
Energy above the most stable polymorph in this dataset ... 0.006 eV/atom

Lattice parameters (Å, degrees): 16.0472 9.2653 9.0890 90.00 125.27 90.00
Sites, in units of the cell vectors:
Na 0.6810 0.5713 0.8090
Na 0.7540 0.2231 0.9872
O 0.4334 0.4297 0.0915
Na 0.5100 0.9087 0.2517
O 0.7602 0.3729 0.7453
O 0.7602 0.6271 0.2453
Si 0.1521 0.3833 0.7482
Si 0.6521 0.8833 0.7482
P 0.4920 0.4563 0.7578
Na 0.1810 0.0713 0.8090
O 0.6551 0.8067 0.9056
O 0.8557 0.4133 0.2443
O 0.5349 0.8210 0.5575
O 0.1577 0.5557 0.7555
O 0.1551 0.6933 0.4056
O 0.0348 0.3210 0.5575
O 0.7479 0.8030 0.7524
Nb 0.8962 0.7564 0.9385
P 0.3553 0.0845 0.2563
P 0.3553 0.9155 0.7563
O 0.1577 0.4443 0.2555
O 0.0541 0.0380 0.9312
O 0.3572 0.1366 0.0868
O 0.5349 0.1790 0.0575
P 0.8553 0.4155 0.7563
Si 0.1521 0.6167 0.2482
O 0.2479 0.6970 0.2524
O 0.9064 0.1344 0.2489
O 0.2602 0.8729 0.7453
P 0.9920 0.0437 0.2578
O 0.0593 0.8550 0.7372
Si 0.6521 0.1167 0.2482
Nb 0.3962 0.2564 0.9385
Na 0.2540 0.7231 0.9872
Na 0.0100 0.4087 0.2517
O 0.5593 0.6450 0.2372
Na 0.7540 0.7769 0.4872
O 0.3557 0.0867 0.7443
O 0.5593 0.3550 0.7372
Ca 0.1047 0.7472 0.5662
O 0.8572 0.3634 0.5868
O 0.9529 0.6328 0.4290
O 0.2479 0.3030 0.7524
O 0.5541 0.5380 0.9312
Na 0.5100 0.0913 0.7517
O 0.0348 0.6790 0.0575
O 0.0541 0.9620 0.4312
O 0.4334 0.5703 0.5915
O 0.1551 0.3067 0.9056
O 0.4064 0.6344 0.2489
Na 0.6810 0.4287 0.3090
O 0.4529 0.1328 0.4290
O 0.6551 0.1933 0.4056
Nb 0.3962 0.7436 0.4385
O 0.6577 0.9443 0.2555
O 0.7479 0.1970 0.2524
O 0.6577 0.0557 0.7555
O 0.5541 0.4620 0.4312
P 0.9920 0.9563 0.7578
O 0.4529 0.8672 0.9290
Na 0.1810 0.9287 0.3090
O 0.9529 0.3672 0.9290
O 0.3557 0.9133 0.2443
O 0.2602 0.1271 0.2453
Ca 0.6047 0.2472 0.5662
Nb 0.8962 0.2436 0.4385
O 0.0593 0.1450 0.2372
O 0.8572 0.6366 0.0868
O 0.4064 0.3656 0.7489
P 0.4920 0.5437 0.2578
O 0.9334 0.9297 0.0915
O 0.8557 0.5867 0.7443
Ca 0.1047 0.2528 0.0662
P 0.8553 0.5845 0.2563
Na 0.2540 0.2769 0.4872
O 0.3572 0.8634 0.5868
Ca 0.6047 0.7528 0.0662
O 0.9334 0.0703 0.5915
Na 0.0100 0.5913 0.7517
O 0.9064 0.8656 0.7489

No. 2
Computed, not measured: a geometry-optimized Nb3Co8Si structure at the GGA-PBE level of DFT.

Computed properties:
Total magnetic moment ... 0.2391 μB/atom
Energy relative to the elements ... -0.13 eV/atom
SG ... No. 160
Uncorrected energy ... -94.3 eV per cell
Energy above the most stable polymorph in this dataset ... 0.004 eV/atom

Lattice parameters (Å, degrees): 8.1452 8.1452 8.1452 33.78 33.78 33.78
Sites, in units of the cell vectors:
Si 0.1328 0.1328 0.1328
Co 0.5628 0.5628 0.0597
Co 0.0619 0.0619 0.5612
Co 0.5612 0.0619 0.0619
Co 0.8108 0.8108 0.8108
Nb 0.6221 0.6221 0.6221
Nb 0.0063 0.0063 0.0063
Co 0.0619 0.5612 0.0619
Co 0.0597 0.5628 0.5628
Co 0.3116 0.3116 0.3116
Co 0.5628 0.0597 0.5628
Nb 0.4960 0.4960 0.4960

No. 3
Computed, not measured: a geometry-optimized Th3Sb2As2 structure at the GGA-PBE level of DFT.

Computed properties:
Total magnetic moment ... 0.0000 μB/atom
Energy relative to the elements ... -1.09 eV/atom
SG ... No. 199
Uncorrected energy ... -95.0 eV per cell

Lattice parameters (Å, degrees): 7.9497 7.9497 7.9497 109.47 109.47 109.47
Sites, in units of the cell vectors:
Th 0.6401 0.7500 0.3901
Sb 0.1700 0.5000 0.0000
Sb 0.3300 0.3300 0.3300
Sb 0.0000 0.1700 0.5000
Th 0.1099 0.8599 0.2500
As 0.8489 0.8489 0.8489
Th 0.7500 0.3901 0.6401
Th 0.3901 0.6401 0.7500
Th 0.8599 0.2500 0.1099
Th 0.2500 0.1099 0.8599
As 0.5000 0.0000 0.6511
Sb 0.5000 0.0000 0.1700
As 0.6511 0.5000 0.0000
As 0.0000 0.6511 0.5000

No. 4
Computed, not measured: a geometry-optimized SiO2 structure at the GGA-PBE level of DFT.

Computed properties:
Total magnetic moment ... 0.0000 μB/atom
Energy relative to the elements ... -3.26 eV/atom
SG ... No. 191
Uncorrected energy ... -1280.5 eV per cell

Lattice parameters (Å, degrees): 17.2946 17.2946 12.8961 90.00 90.00 120.00
Sites, in units of the cell vectors:
O 0.4630 0.3365 0.0000
O 0.9125 0.0875 0.6472
O 0.8251 0.9125 0.6472
O 0.1408 0.5704 0.8431
O 0.8734 0.3365 0.0000
O 0.0000 0.2603 0.3084
O 0.4006 0.3114 0.8091
Si 0.3336 0.4874 0.8783
O 0.5152 0.2576 0.8605
O 0.7397 0.0000 0.3084
O 0.0000 0.7605 0.8965
O 0.0892 0.6886 0.8091
Si 0.8169 0.8169 0.6210
O 0.2395 0.0000 0.1035
O 0.7397 0.0000 0.6916
Si 0.4874 0.3336 0.1217
Si 0.1537 0.4874 0.8783
O 0.2095 0.2095 0.5000
O 0.5704 0.4296 0.1569
O 0.0892 0.4006 0.1909
O 0.7397 0.7397 0.3084
O 0.5370 0.6635 0.0000
O 0.5704 0.1408 0.1569
Si 0.0000 0.8169 0.3790
Si 0.8463 0.5126 0.8783
O 0.0877 0.1754 0.0000
Si 0.6974 0.6974 0.8034
Si 0.1862 0.1862 0.0000
Si 0.0000 0.8169 0.6210
O 0.0000 0.2603 0.6916
Si 0.5126 0.8463 0.1217
O 0.2576 0.7424 0.8605
O 0.5994 0.9108 0.8091
Si 0.3026 0.3026 0.1966
O 0.9123 0.0877 0.0000
Si 0.3026 0.0000 0.1966
O 0.7605 0.0000 0.1035
O 0.9108 0.5994 0.1909
Si 0.4874 0.3336 0.8783
O 0.7424 0.4848 0.1395
Si 0.0000 0.1862 0.0000
O 0.7424 0.2576 0.8605
O 0.2603 0.0000 0.6916
Si 0.1537 0.6664 0.8783
Si 0.1862 0.0000 0.0000
Si 0.1831 0.1831 0.6210
O 0.2576 0.5152 0.1395
O 0.7905 0.0000 0.5000
O 0.7424 0.4848 0.8605
O 0.2576 0.7424 0.1395
Si 0.0000 0.3026 0.1966
O 0.2576 0.5152 0.8605
O 0.5152 0.2576 0.1395
O 0.4296 0.8592 0.1569
O 0.7397 0.7397 0.6916
O 0.0000 0.7397 0.6916
O 0.7605 0.7605 0.1035
O 0.1749 0.0875 0.6472
O 0.6635 0.1266 0.0000
O 0.2395 0.2395 0.8965
O 0.0000 0.2395 0.1035
O 0.6886 0.5994 0.1909
Si 0.6664 0.5126 0.1217
O 0.0875 0.9125 0.3528
O 0.3114 0.4006 0.1909
Si 0.8138 0.0000 0.0000
O 0.7424 0.2576 0.1395
O 0.0000 0.7397 0.3084
O 0.6886 0.0892 0.8091
O 0.0892 0.4006 0.8091
O 0.3114 0.9108 0.1909
O 0.9108 0.3114 0.8091
Si 0.8463 0.5126 0.1217
Si 0.8463 0.3336 0.1217
Si 0.5126 0.6664 0.8783
O 0.2395 0.0000 0.8965
O 0.6635 0.5370 0.0000
Si 0.8463 0.3336 0.8783
O 0.5994 0.9108 0.1909
O 0.4848 0.7424 0.8605
O 0.0877 0.9123 0.0000
Si 0.6974 0.0000 0.1966
O 0.7605 0.0000 0.8965
O 0.6886 0.0892 0.1909
O 0.5704 0.1408 0.8431
O 0.4006 0.3114 0.1909
Si 0.8169 0.0000 0.6210
O 0.3114 0.4006 0.8091
Si 0.0000 0.8138 0.0000
Si 0.4874 0.1537 0.8783
Si 0.5126 0.6664 0.1217
Si 0.1831 0.0000 0.3790
Si 0.1831 0.1831 0.3790
Si 0.6664 0.1537 0.8783
O 0.1754 0.0877 0.0000
O 0.3114 0.9108 0.8091
O 0.2603 0.2603 0.6916
Si 0.6974 0.6974 0.1966
O 0.4296 0.5704 0.1569
O 0.3365 0.8734 0.0000
Si 0.3026 0.0000 0.8034
Si 0.3026 0.3026 0.8034
Si 0.0000 0.3026 0.8034
O 0.1408 0.5704 0.1569
O 0.9108 0.5994 0.8091
Si 0.3336 0.8463 0.1217
Si 0.6974 0.0000 0.8034
O 0.4006 0.0892 0.8091
O 0.8246 0.9123 0.0000
Si 0.0000 0.1831 0.3790
Si 0.8169 0.0000 0.3790
Si 0.4874 0.1537 0.1217
O 0.0875 0.1749 0.6472
O 0.2395 0.2395 0.1035
O 0.7905 0.7905 0.5000
O 0.9108 0.3114 0.1909
Si 0.6664 0.5126 0.8783
Si 0.0000 0.6974 0.8034
O 0.1266 0.4630 0.0000
O 0.1266 0.6635 0.0000
O 0.4630 0.1266 0.0000
O 0.8592 0.4296 0.1569
O 0.0875 0.1749 0.3528
O 0.5994 0.6886 0.1909
O 0.4296 0.8592 0.8431
O 0.9125 0.0875 0.3528
O 0.9123 0.8246 0.0000
O 0.0000 0.7905 0.5000
O 0.2603 0.0000 0.3084
O 0.3365 0.4630 0.0000
O 0.2095 0.0000 0.5000
O 0.0875 0.9125 0.6472
Si 0.8169 0.8169 0.3790
O 0.0000 0.2395 0.8965
O 0.9125 0.8251 0.3528
O 0.9125 0.8251 0.6472
O 0.2603 0.2603 0.3084
O 0.8734 0.5370 0.0000
Si 0.3336 0.8463 0.8783
Si 0.0000 0.6974 0.1966
O 0.4296 0.5704 0.8431
O 0.8251 0.9125 0.3528
O 0.5994 0.6886 0.8091
O 0.4848 0.7424 0.1395
O 0.6886 0.5994 0.8091
O 0.0000 0.7605 0.1035
Si 0.8138 0.8138 0.0000
O 0.0000 0.2095 0.5000
O 0.5704 0.4296 0.8431
O 0.1749 0.0875 0.3528
Si 0.3336 0.4874 0.1217
O 0.5370 0.8734 0.0000
Si 0.5126 0.8463 0.8783
O 0.8592 0.4296 0.8431
Si 0.1537 0.4874 0.1217
Si 0.6664 0.1537 0.1217
Si 0.0000 0.1831 0.6210
O 0.4006 0.0892 0.1909
O 0.7605 0.7605 0.8965
Si 0.1537 0.6664 0.1217
O 0.0892 0.6886 0.1909
Si 0.1831 0.0000 0.6210

No. 5
Computed, not measured: a geometry-optimized CeMgSe3 structure at the GGA-PBE level of DFT.

Computed properties:
Total magnetic moment ... 0.0002 μB/atom
Energy relative to the elements ... -1.66 eV/atom
Uncorrected energy ... -149.4 eV per cell
Energy above the most stable polymorph in this dataset ... 0.000 eV/atom

Lattice parameters (Å, degrees): 7.1304 7.1304 18.9275 90.00 90.00 120.00
Sites, in units of the cell vectors:
Ce 0.6667 0.3333 0.9891
Ce 0.3333 0.6667 0.0109
Se 0.3295 0.9750 0.9136
Mg 0.3333 0.6667 0.5133
Se 0.3584 0.0212 0.5802
Se 0.6917 0.6878 0.2469
Mg 0.6667 0.3333 0.4867
Se 0.3545 0.3295 0.0864
Se 0.3122 0.0038 0.2469
Ce 0.6667 0.3333 0.6776
Se 0.9750 0.6455 0.0864
Mg 0.6667 0.3333 0.1799
Se 0.0250 0.3545 0.9136
Se 0.6628 0.6416 0.5802
Se 0.6455 0.6705 0.9136
Se 0.3372 0.3584 0.4198
Se 0.6416 0.9788 0.4198
Se 0.9788 0.3372 0.5802
Mg 0.3333 0.6667 0.8201
Se 0.0038 0.6917 0.7531
Se 0.3083 0.3122 0.7531
Se 0.0212 0.6628 0.4198
Se 0.9962 0.3083 0.2469
Ce 0.0000 0.0000 0.3442
Se 0.6705 0.0250 0.0864
Se 0.6878 0.9962 0.7531
Mg 0.0000 0.0000 0.1534
Ce 0.0000 0.0000 0.6558
Ce 0.3333 0.6667 0.3224
Mg 0.0000 0.0000 0.8466

No. 6
Computed, not measured: a geometry-optimized GdTc3 structure at the GGA-PBE level of DFT.

Computed properties:
Total magnetic moment ... 1.7379 μB/atom
Energy relative to the elements ... 0.22 eV/atom
SG ... No. 139
Uncorrected energy ... -44.3 eV per cell

Lattice parameters (Å, degrees): 4.5820 4.5820 4.5836 120.33 120.31 89.44
Sites, in units of the cell vectors:
Tc 0.7500 0.2500 0.5000
Tc 0.2500 0.7500 0.5000
Tc 0.5000 0.5000 0.0000
Gd 0.0000 0.0000 0.0000

No. 7
Computed, not measured: a geometry-optimized NaPbO3 structure at the GGA-PBE level of DFT.

Computed properties:
Total magnetic moment ... 0.2021 μB/atom
Energy relative to the elements ... -1.09 eV/atom
SG ... No. 221
Uncorrected energy ... -23.3 eV per cell

Lattice parameters (Å, degrees): 4.3039 4.3039 4.3039 90.00 90.00 90.00
Sites, in units of the cell vectors:
O 0.5000 0.0000 0.5000
O 0.5000 0.5000 0.0000
O 0.0000 0.5000 0.5000
Pb 0.5000 0.5000 0.5000
Na 0.0000 0.0000 0.0000

No. 8
Computed, not measured: a geometry-optimized K2AuI5O15 structure at the GGA-PBE level of DFT.

Computed properties:
Total magnetic moment ... 0.0001 μB/atom
Energy relative to the elements ... -1.03 eV/atom
SG ... No. 36
Uncorrected energy ... -201.7 eV per cell

Lattice parameters (Å, degrees): 8.3733 8.3733 11.8709 90.00 90.00 90.77
Sites, in units of the cell vectors:
O 0.9620 0.2784 0.0993
Au 0.0096 0.9904 0.8147
I 0.2573 0.7427 0.2103
O 0.2257 0.5409 0.2650
I 0.4991 0.5009 0.9432
K 0.4697 0.9936 0.9308
O 0.3609 0.6391 0.0116
I 0.2369 0.7631 0.6547
K 0.5303 0.0064 0.4308
O 0.5409 0.2257 0.7650
I 0.7622 0.7253 0.1877
O 0.1859 0.1574 0.8232
O 0.7743 0.4591 0.7650
O 0.5516 0.6868 0.5173
O 0.6868 0.5516 0.0173
K 0.9936 0.4697 0.4308
O 0.7544 0.5390 0.2678
I 0.7631 0.2369 0.1547
O 0.1589 0.8411 0.3386
O 0.8426 0.8141 0.8232
O 0.7216 0.0380 0.0993
O 0.3132 0.4484 0.5173
Au 0.9904 0.0096 0.3147
O 0.4610 0.2456 0.2678
O 0.4484 0.3132 0.0173
O 0.7219 0.9623 0.6267
I 0.7427 0.2573 0.7103
O 0.8141 0.8426 0.3232
O 0.8200 0.1800 0.3063
I 0.5009 0.4991 0.4432
O 0.9623 0.7219 0.1267
O 0.5390 0.7544 0.7678
O 0.2456 0.4610 0.7678
O 0.4591 0.7743 0.2650
O 0.2784 0.9620 0.5993
I 0.7253 0.7622 0.6877
O 0.2781 0.0377 0.1267
I 0.2747 0.2378 0.1877
O 0.6391 0.3609 0.5116
O 0.8411 0.1589 0.8386
O 0.0377 0.2781 0.6267
O 0.1800 0.8200 0.8063
I 0.2378 0.2747 0.6877
K 0.0064 0.5303 0.9308
O 0.1574 0.1859 0.3232
O 0.0380 0.7216 0.5993